Material: TlBiPbS3
Method: DFT, PBE
State: relaxed

* calculated formation energy: -663 meV/atom
* size of the total moment: 0.00 μB/cell

Unit cell a=4.154 b=5.966 c=13.323 alpha=90.00 beta=90.00 gamma=90.00
Space group Imm2 (No. 44)
Asymmetric unit:
1 Tl 0.000 0.000 0.000 (multiplicity 2)
2 Bi 0.000 0.000 0.667 (multiplicity 2)
3 Pb 0.000 0.000 0.336 (multiplicity 2)
4 S 0.000 0.500 0.024 (multiplicity 2)
5 S 0.000 0.500 0.314 (multiplicity 2)
6 S 0.000 0.500 0.688 (multiplicity 2)